# 1
Material: MgNb2O6
Method: DFT, PBE-GGA
State: relaxed

a b c (Å): 5.095 5.820 14.407
angles (deg): 90.00 90.00 90.00
Fractional positions:
Mg 0.750 0.835 0.000
Mg 0.250 0.665 0.500
Mg 0.250 0.165 0.000
Mg 0.750 0.335 0.500
Nb 0.753 0.817 0.660
Nb 0.253 0.683 0.840
Nb 0.747 0.817 0.340
Nb 0.247 0.683 0.160
Nb 0.753 0.317 0.840
Nb 0.253 0.183 0.660
Nb 0.747 0.317 0.160
Nb 0.247 0.183 0.340
O 0.418 0.374 0.245
O 0.918 0.126 0.255
O 0.082 0.374 0.755
O 0.582 0.126 0.745
O 0.582 0.626 0.755
O 0.082 0.874 0.745
O 0.918 0.626 0.245
O 0.418 0.874 0.255
O 0.090 0.384 0.421
O 0.590 0.116 0.079
O 0.410 0.384 0.579
O 0.910 0.116 0.921
O 0.571 0.606 0.096
O 0.071 0.894 0.404
O 0.929 0.606 0.904
O 0.429 0.894 0.596
O 0.429 0.394 0.904
O 0.929 0.106 0.596
O 0.071 0.394 0.096
O 0.571 0.106 0.404
O 0.090 0.884 0.079
O 0.590 0.616 0.421
O 0.410 0.884 0.921
O 0.910 0.616 0.579



# 2
Material: MgNb4O10
Method: DFT, PBE-GGA
State: relaxed

a b c (Å): 7.754 4.065 6.639
angles (deg): 90.00 87.53 90.00
Fractional positions:
Mg 0.251 0.750 0.600
Nb 0.050 0.250 0.848
Nb 0.284 0.250 0.261
Nb 0.720 0.750 0.708
Nb 0.922 0.750 0.169
O 0.043 0.750 0.819
O 0.188 0.250 0.572
O 0.208 0.750 0.282
O 0.275 0.250 0.969
O 0.503 0.250 0.306
O 0.494 0.750 0.669
O 0.727 0.750 0.019
O 0.794 0.250 0.748
O 0.830 0.750 0.443
O 0.970 0.250 0.172

Output
energy above the most stable polymorph in this dataset: 93 meV per atom



# 3
Material: MgNbPS2O12
Method: DFT, PBE-GGA
State: relaxed

a b c (Å): 8.743 8.737 22.519
angles (deg): 90.15 90.00 120.02
Fractional positions:
Mg 0.996 0.004 0.355
Mg 0.008 0.004 0.855
Mg 0.668 0.336 0.688
Mg 0.668 0.336 0.188
Mg 0.331 0.667 0.022
Mg 0.336 0.667 0.522
Nb 0.006 0.014 0.643
Nb 0.007 0.014 0.143
Nb 0.654 0.328 0.976
Nb 0.673 0.328 0.476
Nb 0.337 0.669 0.310
Nb 0.332 0.669 0.810
P 0.991 0.286 0.252
P 0.295 0.286 0.752
P 0.960 0.346 0.586
P 0.386 0.346 0.086
P 0.322 0.946 0.919
P 0.624 0.946 0.419
S 0.290 0.006 0.251
S 0.717 0.710 0.251
S 0.993 0.710 0.751
S 0.716 0.006 0.751
S 0.382 0.042 0.584
S 0.663 0.619 0.584
S 0.957 0.619 0.084
S 0.660 0.042 0.084
S 0.625 0.674 0.917
S 0.046 0.376 0.918
S 0.330 0.376 0.418
S 0.049 0.674 0.417
O 0.206 0.026 0.304
O 0.821 0.791 0.304
O 0.975 0.175 0.305
O 0.200 0.175 0.805
O 0.971 0.791 0.804
O 0.820 0.026 0.804
O 0.793 0.966 0.697
O 0.167 0.198 0.695
O 0.032 0.825 0.697
O 0.793 0.825 0.197
O 0.031 0.198 0.195
O 0.173 0.966 0.197
O 0.866 0.359 0.639
O 0.486 0.126 0.637
O 0.639 0.513 0.637
O 0.874 0.513 0.137
O 0.639 0.126 0.137
O 0.493 0.359 0.139
O 0.469 0.302 0.028
O 0.841 0.539 0.030
O 0.701 0.159 0.030
O 0.458 0.159 0.530
O 0.698 0.539 0.530
O 0.833 0.302 0.528
O 0.542 0.694 0.970
O 0.154 0.458 0.970
O 0.309 0.841 0.972
O 0.532 0.841 0.472
O 0.304 0.458 0.470
O 0.152 0.694 0.470
O 0.125 0.633 0.363
O 0.499 0.864 0.362
O 0.365 0.493 0.363
O 0.128 0.493 0.863
O 0.365 0.864 0.862
O 0.508 0.633 0.863
O 0.023 0.822 0.406
O 0.805 0.980 0.407
O 0.183 0.201 0.407
O 0.018 0.201 0.907
O 0.175 0.980 0.907
O 0.799 0.822 0.906
O 0.968 0.166 0.593
O 0.200 0.027 0.591
O 0.829 0.799 0.593
O 0.970 0.799 0.093
O 0.827 0.027 0.091
O 0.198 0.166 0.093
O 0.688 0.152 0.741
O 0.473 0.315 0.738
O 0.847 0.534 0.741
O 0.687 0.534 0.241
O 0.842 0.315 0.238
O 0.465 0.152 0.241
O 0.641 0.507 0.925
O 0.868 0.364 0.925
O 0.501 0.136 0.927
O 0.635 0.136 0.427
O 0.496 0.364 0.425
O 0.867 0.507 0.425
O 0.352 0.492 0.072
O 0.131 0.646 0.074
O 0.513 0.868 0.074
O 0.354 0.868 0.574
O 0.515 0.646 0.574
O 0.140 0.492 0.572
O 0.303 0.838 0.258
O 0.534 0.695 0.259
O 0.167 0.473 0.261
O 0.305 0.473 0.761
O 0.161 0.695 0.759
O 0.535 0.838 0.758



# 4
Material: Mg2Nb4P6S3O36
Method: DFT, PBE-GGA
State: relaxed

a b c (Å): 8.769 8.769 22.581
angles (deg): 90.00 90.00 120.00
Fractional positions:
Mg 0.000 0.000 0.358
Mg 0.000 0.000 0.858
Mg 0.667 0.333 0.687
Mg 0.667 0.333 0.187
Nb 0.000 0.000 0.641
Nb 0.000 0.000 0.141
Nb 0.667 0.333 0.975
Nb 0.667 0.333 0.475
Nb 0.333 0.667 0.023
Nb 0.333 0.667 0.523
Nb 0.333 0.667 0.312
Nb 0.333 0.667 0.812
P 0.950 0.336 0.585
P 0.386 0.050 0.585
P 0.664 0.614 0.585
P 0.950 0.614 0.085
P 0.664 0.050 0.085
P 0.386 0.336 0.085
P 0.625 0.672 0.916
P 0.047 0.375 0.916
P 0.328 0.953 0.916
P 0.625 0.953 0.416
P 0.328 0.375 0.416
P 0.047 0.672 0.416
S 0.291 0.005 0.251
S 0.715 0.709 0.251
S 0.995 0.285 0.251
S 0.291 0.285 0.751
S 0.995 0.709 0.751
S 0.715 0.005 0.751
O 0.206 0.026 0.303
O 0.821 0.794 0.303
O 0.974 0.179 0.303
O 0.206 0.179 0.803
O 0.974 0.794 0.803
O 0.821 0.026 0.803
O 0.795 0.969 0.697
O 0.174 0.205 0.697
O 0.031 0.826 0.697
O 0.795 0.826 0.197
O 0.031 0.205 0.197
O 0.174 0.969 0.197
O 0.876 0.368 0.640
O 0.492 0.124 0.640
O 0.632 0.508 0.640
O 0.876 0.508 0.140
O 0.632 0.124 0.140
O 0.492 0.368 0.140
O 0.464 0.301 0.028
O 0.837 0.536 0.028
O 0.699 0.163 0.028
O 0.464 0.163 0.528
O 0.699 0.536 0.528
O 0.837 0.301 0.528
O 0.528 0.690 0.971
O 0.162 0.472 0.971
O 0.310 0.838 0.971
O 0.528 0.838 0.471
O 0.310 0.472 0.471
O 0.162 0.690 0.471
O 0.135 0.633 0.362
O 0.498 0.865 0.362
O 0.367 0.502 0.362
O 0.135 0.502 0.862
O 0.367 0.865 0.862
O 0.498 0.633 0.862
O 0.026 0.828 0.407
O 0.802 0.974 0.407
O 0.172 0.198 0.407
O 0.026 0.198 0.907
O 0.172 0.974 0.907
O 0.802 0.828 0.907
O 0.976 0.171 0.594
O 0.195 0.024 0.594
O 0.829 0.805 0.594
O 0.976 0.805 0.094
O 0.829 0.024 0.094
O 0.195 0.171 0.094
O 0.689 0.153 0.741
O 0.464 0.311 0.741
O 0.847 0.536 0.741
O 0.689 0.536 0.241
O 0.847 0.311 0.241
O 0.464 0.153 0.241
O 0.633 0.500 0.927
O 0.867 0.367 0.927
O 0.500 0.133 0.927
O 0.633 0.133 0.427
O 0.500 0.367 0.427
O 0.867 0.500 0.427
O 0.353 0.491 0.072
O 0.138 0.647 0.072
O 0.509 0.862 0.072
O 0.353 0.862 0.572
O 0.509 0.647 0.572
O 0.138 0.491 0.572
O 0.304 0.839 0.258
O 0.535 0.696 0.258
O 0.161 0.465 0.258
O 0.304 0.465 0.758
O 0.161 0.696 0.758
O 0.535 0.839 0.758



# 5
Material: MgTiNb2Pb4O12
Method: DFT, PBE-GGA
State: relaxed

a b c (Å): 5.779 5.877 8.038
angles (deg): 90.00 90.00 90.00
Fractional positions:
Mg 0.000 0.492 0.000
Ti 0.500 0.015 0.500
Nb 0.500 0.987 0.000
Nb 0.000 0.514 0.500
Pb 0.000 0.042 0.758
Pb 0.500 0.533 0.768
Pb 0.000 0.042 0.242
Pb 0.500 0.533 0.232
O 0.000 0.444 0.741
O 0.500 0.963 0.745
O 0.000 0.444 0.259
O 0.500 0.963 0.255
O 0.732 0.719 0.000
O 0.248 0.210 0.000
O 0.746 0.717 0.500
O 0.252 0.209 0.500
O 0.268 0.719 0.000
O 0.752 0.210 0.000
O 0.254 0.717 0.500
O 0.748 0.209 0.500



# 6
Material: MgTi3Nb2Pb6O18
Method: DFT, PBE-GGA
State: relaxed

a b c (Å): 5.688 5.688 13.964
angles (deg): 90.00 90.00 120.00
Fractional positions:
Mg 0.000 0.000 0.500
Ti 0.667 0.333 0.837
Ti 0.000 0.000 0.000
Ti 0.333 0.667 0.163
Nb 0.667 0.333 0.336
Nb 0.333 0.667 0.664
Pb 0.000 0.000 0.753
Pb 0.333 0.667 0.920
Pb 0.667 0.333 0.080
Pb 0.000 0.000 0.247
Pb 0.333 0.667 0.416
Pb 0.667 0.333 0.584
O 0.834 0.667 0.918
O 0.333 0.166 0.918
O 0.834 0.166 0.918
O 0.166 0.333 0.082
O 0.667 0.834 0.082
O 0.166 0.834 0.082
O 0.497 0.994 0.245
O 0.006 0.503 0.245
O 0.497 0.503 0.245
O 0.831 0.663 0.412
O 0.337 0.169 0.412
O 0.831 0.169 0.412
O 0.169 0.337 0.588
O 0.663 0.831 0.588
O 0.169 0.831 0.588
O 0.503 0.006 0.755
O 0.994 0.497 0.755
O 0.503 0.497 0.755



Which ΔE_f belongs to each record? In order, -3.102, -2.864, -2.441, -2.666, -2.516, -2.560 eV/atom.
Which calculated total energy belongs to each record? In order, -301.13, -127.57, -708.14, -755.72, -146.01, -221.28 eV for the cell shown.